1.
# Li10GeP2S12, optimized geometry, DFT PBE-GGA
data_Li10GeP2S12
_chemical_formula_sum 'Li20 Ge2 P4 S24'
_space_group_name_H-M_alt 'P 42 m c'
_space_group_IT_number 105
_space_group_name_Hall 'P 4c -2'
_cell_length_a 8.788
_cell_length_b 8.788
_cell_length_c 12.658
_cell_angle_alpha 90.00
_cell_angle_beta 90.00
_cell_angle_gamma 90.00
loop_
_atom_site_label
_atom_site_fract_x
_atom_site_fract_y
_atom_site_fract_z
Li1 0.000 0.000 0.000
Li2 0.225 0.244 0.489
Li3 0.227 0.271 0.747
Li4 0.500 0.500 0.392
Ge1 0.000 0.000 0.253
P1 0.000 0.500 0.956
P2 0.500 0.500 0.138
S1 0.000 0.207 0.650
S2 0.000 0.210 0.355
S3 0.000 0.310 0.049
S4 0.194 0.500 0.864
S5 0.305 0.500 0.546
S6 0.308 0.500 0.229
# calculated formation energy: -1.189 eV per atom
# offset from the most stable computed form: 0.011 eV/atom
# theoretical density: 2.0 g/cm³
# crystal system: tetragonal

=====

2.
# CsSbCl6, optimized geometry, DFT PBE-GGA
data_CsSbCl6
_chemical_formula_sum 'Cs4 Sb4 Cl24'
_space_group_name_H-M_alt 'C 1 2/c 1'
_space_group_IT_number 15
_space_group_name_Hall '-C 2yc'
_cell_length_a 12.790
_cell_length_b 6.775
_cell_length_c 12.934
_cell_angle_alpha 90.00
_cell_angle_beta 102.60
_cell_angle_gamma 90.00
loop_
_atom_site_label
_atom_site_fract_x
_atom_site_fract_y
_atom_site_fract_z
Cs1 0.000 0.121 0.250
Sb1 0.250 0.250 0.000
Cl1 0.084 0.372 0.894
Cl2 0.159 0.040 0.541
Cl3 0.216 0.413 0.154
# calculated formation energy: -1.540 eV per atom
# theoretical density: 2.8 g/cm³
# crystal system: monoclinic

=====

3.
# CeNi2As2, optimized geometry, DFT PBE-GGA
data_CeNi2As2
_chemical_formula_sum 'Ce2 Ni4 As4'
_space_group_name_H-M_alt 'P 4/n m m'
_space_group_IT_number 129
_cell_length_a 4.143
_cell_length_b 4.143
_cell_length_c 9.129
_cell_angle_alpha 90.00
_cell_angle_beta 90.00
_cell_angle_gamma 90.00
loop_
_space_group_symop_operation_xyz
'x,y,z'
'-x,-y,-z'
'-y+1/2,x,z'
'y+1/2,-x,-z'
'-x+1/2,-y+1/2,z'
'x+1/2,y+1/2,-z'
'y,-x+1/2,z'
'-y,x+1/2,-z'
'x+1/2,-y,-z'
'-x+1/2,y,z'
'-y,-x,-z'
'y,x,z'
'-x,y+1/2,-z'
'x,-y+1/2,z'
'y+1/2,x+1/2,-z'
'-y+1/2,-x+1/2,z'
loop_
_atom_site_label
_atom_site_fract_x
_atom_site_fract_y
_atom_site_fract_z
Ce1 0.250 0.250 0.247
Ni1 0.250 0.250 0.617
Ni2 0.250 0.750 0.000
As1 0.250 0.250 0.870
As2 0.250 0.750 0.500
# calculated formation energy: -0.809 eV per atom
# theoretical density: 8.6 g/cm³
# crystal system: tetragonal

=====

Question: calculated formation energy of number 2 (CsSbCl6)?
Answer: -1.540 eV per atom